Record 1
TmCl3, relaxed, DFT r2SCAN; formation enthalpy at 0 K = -2513 meV/atom; total DFT energy (no corrections) = -15.91 eV/atom; space-group type = R-3c
1.0
3.236 1.869 5.971
-3.236 1.869 5.971
0.000 -3.737 5.971
Tm Cl
2 6
Cartesian
0.000 0.000 0.000
0.000 0.000 8.957
-2.131 0.046 7.464
-1.106 -1.822 10.449
1.025 -1.869 7.464
-1.025 1.869 10.449
1.106 1.822 7.464
2.131 -0.046 10.449

=====

Record 2
UCl6, relaxed, DFT r2SCAN; formation enthalpy at 0 K = -1642 meV/atom; total DFT energy (no corrections) = -18.34 eV/atom; space-group type = P-3m1
1.0
11.190 0.000 0.000
-5.595 9.691 0.000
0.000 0.000 6.120
U Cl
3 18
Cartesian
0.000 0.000 0.000
0.000 6.460 2.961
5.595 3.230 3.159
0.000 2.009 1.419
-3.855 8.686 1.419
-1.739 5.456 1.541
1.740 1.004 4.701
0.000 4.456 4.385
-1.736 7.463 4.385
1.739 5.456 1.541
0.000 8.468 1.541
3.859 2.228 1.734
1.736 7.463 4.385
5.595 1.222 4.579
3.856 4.234 4.579
7.331 2.228 1.734
5.595 5.235 1.734
3.855 8.686 1.419
7.334 4.234 4.579
9.450 1.004 4.701
5.595 7.682 4.701

=====

Record 3
UCl3, relaxed, DFT r2SCAN; formation enthalpy at 0 K = -2211 meV/atom; total DFT energy (no corrections) = -26.81 eV/atom; space-group type = Pm
1.0
7.504 0.000 0.000
0.000 4.286 0.000
-3.744 0.000 6.522
U Cl
2 6
Cartesian
0.000 0.000 0.000
0.000 2.143 4.348
-1.167 0.000 2.773
1.134 2.143 1.657
-0.828 0.000 6.168
1.974 0.000 4.180
5.510 2.143 0.228
4.550 2.143 4.751

=====

Record 4
UCl5, relaxed, DFT r2SCAN; formation enthalpy at 0 K = -1850 meV/atom; total DFT energy (no corrections) = -20.30 eV/atom; space-group type = P-1
1.0
6.508 0.000 0.000
-3.113 6.397 0.000
-0.167 -3.490 9.218
U Cl
2 10
Cartesian
-0.019 0.636 2.005
3.248 2.271 7.213
-2.175 3.209 5.214
-1.266 0.933 7.790
0.841 -2.158 8.807
1.972 -0.777 2.350
1.045 2.572 3.099
2.184 0.335 6.119
1.257 3.684 6.868
2.388 5.065 0.411
4.496 1.974 1.428
5.404 -0.302 4.004

=====

Record 5
UCl4, relaxed, DFT r2SCAN; formation enthalpy at 0 K = -2075 meV/atom; total DFT energy (no corrections) = -22.98 eV/atom; space-group type = I4_1/amd
1.0
-4.172 4.172 3.818
4.172 -4.172 3.818
4.172 4.172 -3.818
U Cl
2 8
Cartesian
4.172 2.086 0.955
0.000 2.086 2.864
4.172 -0.498 1.501
4.172 3.673 -1.501
1.587 2.086 0.408
2.584 -2.086 4.227
1.587 6.257 -0.408
2.584 2.086 3.410
0.000 0.498 5.319
0.000 4.670 2.317

=====

Record 6
UCl5, relaxed, DFT r2SCAN; formation enthalpy at 0 K = -1851 meV/atom; total DFT energy (no corrections) = -20.30 eV/atom; space-group type = P2_1/c
1.0
8.237 0.000 0.000
0.000 10.948 0.000
-8.107 0.000 8.588
U Cl
4 20
Cartesian
0.450 1.504 1.384
-3.604 3.970 5.678
3.734 6.978 2.910
-0.320 9.444 7.204
-1.926 1.426 2.044
-5.979 4.048 6.338
6.109 6.900 2.250
2.056 9.522 6.544
-3.702 6.676 5.482
0.352 9.746 1.188
-3.642 1.513 5.491
0.412 3.961 1.197
2.777 1.383 0.574
-1.276 4.091 4.868
2.989 6.881 0.562
-1.065 9.541 4.856
1.195 1.407 3.732
-2.859 4.067 8.026
1.406 6.857 3.720
-2.647 9.565 8.014
-0.282 6.987 7.391
3.772 9.435 3.097
-0.222 1.202 7.400
3.831 4.272 3.106

=====

Record 7
WCl6, relaxed, DFT r2SCAN; formation enthalpy at 0 K = -946 meV/atom; total DFT energy (no corrections) = -13.56 eV/atom; space-group type = R-3
1.0
3.118 1.800 5.670
-3.118 1.800 5.670
0.000 -3.600 5.670
W Cl
1 6
Cartesian
0.000 0.000 0.000
-0.918 -1.966 6.994
-2.162 -0.188 10.017
-1.244 1.778 6.994
1.244 -1.778 10.017
2.162 0.188 6.994
0.918 1.966 10.017

=====

Record 8
WCl5, relaxed, DFT r2SCAN; formation enthalpy at 0 K = -945 meV/atom; total DFT energy (no corrections) = -14.63 eV/atom; space-group type = C2/m
1.0
8.889 -8.990 0.000
8.889 8.990 0.000
-0.660 0.000 6.196
W Cl
6 30
Cartesian
8.889 7.077 0.000
5.641 1.914 2.684
5.641 -1.914 2.684
11.478 1.914 3.512
11.478 -1.914 3.512
8.889 -7.077 0.000
7.094 7.301 4.248
4.439 3.440 1.516
0.768 0.000 5.361
7.434 5.555 0.836
4.063 1.689 4.296
10.025 7.301 1.948
6.837 3.439 3.857
4.463 0.000 1.530
9.686 5.555 5.360
7.215 1.694 1.069
4.063 -1.689 4.296
10.282 3.439 2.339
6.821 0.000 3.835
4.439 -3.440 1.516
9.904 1.694 5.128
7.215 -1.694 1.069
12.680 3.440 4.681
10.298 0.000 2.361
6.837 -3.439 3.857
13.056 1.689 1.900
9.904 -1.694 5.128
7.434 -5.555 0.836
12.656 0.000 4.667
10.282 -3.439 2.339
7.094 -7.301 4.248
13.056 -1.689 1.900
9.686 -5.555 5.360
16.351 0.000 0.835
12.680 -3.440 4.681
10.025 -7.301 1.948

=====

Record 9
WCl6, relaxed, DFT r2SCAN; formation enthalpy at 0 K = -946 meV/atom; total DFT energy (no corrections) = -13.56 eV/atom; space-group type = P-3m1
1.0
10.736 0.000 0.000
-5.368 9.297 0.000
0.000 0.000 5.821
W Cl
3 18
Cartesian
0.000 0.000 0.000
0.000 6.198 2.738
5.368 3.099 3.083
0.000 1.875 1.322
-3.744 8.360 1.322
-1.621 5.262 1.412
1.623 0.937 4.499
0.000 4.325 4.063
-1.622 7.135 4.063
1.621 5.262 1.412
0.000 8.070 1.412
3.746 2.163 1.758
1.622 7.135 4.063
5.368 1.227 4.409
3.747 4.035 4.409
6.990 2.163 1.758
5.368 4.972 1.758
3.744 8.360 1.322
6.989 4.035 4.409
9.112 0.937 4.499
5.368 7.423 4.499

=====

Record 10
WCl4, relaxed, DFT r2SCAN; formation enthalpy at 0 K = -939 meV/atom; total DFT energy (no corrections) = -16.13 eV/atom; space-group type = C2/m
1.0
6.093 -3.233 0.000
6.093 3.233 0.000
-5.418 0.000 6.272
W Cl
2 8
Cartesian
6.093 1.917 0.000
6.093 -1.917 0.000
1.591 0.000 1.149
2.009 1.692 4.422
4.758 1.692 1.850
-0.651 0.000 5.314
7.418 0.000 0.959
2.009 -1.692 4.422
4.758 -1.692 1.850
5.177 0.000 5.123

=====

Record 11
YCl3, relaxed, DFT r2SCAN; formation enthalpy at 0 K = -2532 meV/atom; total DFT energy (no corrections) = -12.22 eV/atom; space-group type = C2/m
1.0
6.917 0.000 0.000
0.000 11.965 0.000
-2.277 0.000 6.176
Y Cl
4 12
Cartesian
0.000 1.991 0.000
0.000 9.974 0.000
3.459 3.991 0.000
3.459 7.974 0.000
0.904 0.000 1.492
-0.081 2.182 4.708
-0.081 9.782 4.708
1.263 3.800 1.468
1.263 8.165 1.468
0.277 5.982 4.684
4.363 5.982 1.492
3.378 3.800 4.708
3.378 8.165 4.708
4.721 2.182 1.468
4.721 9.782 1.468
3.736 0.000 4.684

=====

Record 12
YbCl3, relaxed, DFT r2SCAN; formation enthalpy at 0 K = -2487 meV/atom; total DFT energy (no corrections) = -16.23 eV/atom; space-group type = Cmcm
1.0
3.668 0.000 0.000
0.000 12.311 0.000
0.000 0.000 8.512
Yb Cl
4 12
Cartesian
0.000 3.002 2.128
0.000 9.309 6.384
1.834 3.153 6.384
1.834 9.157 2.128
0.000 1.877 4.848
0.000 1.877 7.920
0.000 4.988 6.384
0.000 7.323 2.128
0.000 10.434 0.592
0.000 10.434 3.664
1.834 1.167 2.128
1.834 4.279 0.592
1.834 4.279 3.664
1.834 8.032 4.848
1.834 8.032 7.920
1.834 11.143 6.384

=====

Record 13
YbCl3, relaxed, DFT r2SCAN; formation enthalpy at 0 K = -2432 meV/atom; total DFT energy (no corrections) = -16.18 eV/atom; space-group type = P6_3/mmc
1.0
9.297 0.000 0.000
-4.649 8.051 0.000
0.000 0.000 3.501
Yb Cl
2 6
Cartesian
0.000 5.368 0.875
4.649 2.684 2.625
0.000 3.438 2.625
-1.671 6.333 2.625
2.977 1.719 0.875
1.671 6.333 2.625
6.320 1.719 0.875
4.649 4.614 0.875

=====

Record 14
ZrCl3, relaxed, DFT r2SCAN; formation enthalpy at 0 K = -1950 meV/atom; total DFT energy (no corrections) = -12.25 eV/atom; space-group type = P6_3/mcm
1.0
6.536 0.000 0.000
-3.268 5.660 0.000
0.000 0.000 6.049
Zr Cl
2 6
Cartesian
0.000 0.000 0.000
0.000 0.000 3.024
-1.026 1.778 1.512
-2.241 3.882 4.536
2.053 0.000 1.512
1.026 1.778 4.536
4.483 0.000 4.536
2.241 3.882 1.512

=====

Record 15
ZrCl3, relaxed, DFT r2SCAN; formation enthalpy at 0 K = -1960 meV/atom; total DFT energy (no corrections) = -12.26 eV/atom; space-group type = P-1
1.0
6.208 0.000 0.000
-2.902 5.494 0.000
-3.085 -1.666 6.321
Zr Cl
2 6
Cartesian
-3.236 0.296 6.321
3.457 3.532 0.000
5.294 0.048 1.414
-5.073 3.780 4.907
-0.908 3.642 1.680
-1.902 1.865 4.905
2.123 1.963 1.416
1.130 0.186 4.641

=====

Record 16
ZrCl3, relaxed, DFT r2SCAN; formation enthalpy at 0 K = -1936 meV/atom; total DFT energy (no corrections) = -12.24 eV/atom; space-group type = C2/m
1.0
11.652 -6.696 0.000
11.652 6.696 0.000
-1.970 0.000 6.573
Zr Cl
6 18
Cartesian
4.820 1.640 0.001
1.978 0.000 0.000
4.820 -1.640 0.001
16.513 1.640 6.572
19.356 0.000 6.572
16.513 -1.640 6.572
2.856 1.765 1.600
0.000 0.000 1.639
5.828 3.347 1.636
8.795 4.932 1.599
3.933 0.000 4.972
12.538 4.932 4.973
5.900 0.000 1.607
2.856 -1.765 1.600
15.505 3.347 4.937
5.828 -3.347 1.636
18.478 1.765 4.973
15.433 0.000 4.966
8.795 -4.932 1.599
17.401 0.000 1.601
12.538 -4.932 4.973
15.505 -3.347 4.937
21.334 0.000 4.934
18.478 -1.765 4.973

=====

Record 17
Co, relaxed, DFT r2SCAN; formation enthalpy at 0 K = 11 meV/atom; total DFT energy (no corrections) = -13.22 eV/atom; space-group type = P6_3/mmc
1.0
2.471 0.000 0.000
-1.235 2.140 0.000
0.000 0.000 8.088
Co
4
Cartesian
0.000 0.000 0.000
0.000 0.000 4.044
0.000 1.426 2.022
1.235 0.713 6.066

=====

Record 18
Co, relaxed, DFT r2SCAN; formation enthalpy at 0 K = 119 meV/atom; total DFT energy (no corrections) = -13.12 eV/atom; space-group type = P4_2/mnm
1.0
8.318 0.000 0.000
0.000 8.318 0.000
0.000 0.000 4.516
Co
28
Cartesian
0.223 3.015 0.000
0.445 2.055 2.258
0.788 0.788 0.000
1.144 4.381 2.258
1.556 6.761 1.125
1.556 6.761 3.391
2.055 0.445 2.258
2.104 4.604 0.000
2.602 2.602 1.133
2.602 2.602 3.383
3.015 0.223 0.000
3.371 4.947 2.258
3.714 6.214 0.000
3.936 7.174 2.258
4.381 1.144 2.258
4.604 2.104 0.000
4.947 3.371 2.258
5.303 8.095 0.000
5.715 5.715 1.133
5.715 5.715 3.383
6.214 3.714 0.000
6.263 7.873 2.258
6.761 1.556 1.125
6.761 1.556 3.391
7.174 3.936 2.258
7.529 7.529 0.000
7.873 6.263 2.258
8.095 5.303 0.000

=====

Record 19
Co, relaxed, DFT r2SCAN; formation enthalpy at 0 K = 0 meV/atom; total DFT energy (no corrections) = -13.23 eV/atom; space-group type = Fm-3m
1.0
3.513 0.000 0.000
0.000 3.513 0.000
0.000 0.000 3.513
Co
4
Cartesian
0.000 0.000 0.000
0.000 1.757 1.757
1.757 0.000 1.757
1.757 1.757 0.000

=====

Record 20
Co, relaxed, DFT r2SCAN; formation enthalpy at 0 K = 25 meV/atom; total DFT energy (no corrections) = -13.21 eV/atom; space-group type = P6_3/mmc
1.0
2.472 0.000 0.000
-1.236 2.141 0.000
0.000 0.000 4.021
Co
2
Cartesian
0.000 1.427 1.005
1.236 0.714 3.016